# K4In3Ge20 PBE relaxed
# DFT formation energy   -0.13 eV/atom
# Spin magnetization   0.0 μB per formula unit
# E   -0.2956 Ry per atom
data_K4In3Ge20
_chemical_formula_sum 'K8 In6 Ge40'
_symmetry_space_group_name_H-M 'P 1'
_symmetry_Int_Tables_number 1
_cell_length_a 11.171
_cell_length_b 11.172
_cell_length_c 11.177
_cell_angle_alpha 90.02
_cell_angle_beta 89.99
_cell_angle_gamma 90.03
loop_
_symmetry_equiv_pos_as_xyz
'x,y,z'
loop_
_atom_site_label
_atom_site_fract_x
_atom_site_fract_y
_atom_site_fract_z
Ge1 0.800 0.500 0.386
Ge2 0.000 0.700 0.885
Ge3 0.183 0.183 0.183
Ge4 0.817 0.183 0.817
Ge5 0.500 0.386 0.200
Ge6 0.183 0.817 0.183
Ge7 0.300 0.885 0.000
Ge8 0.317 0.317 0.683
Ge9 0.183 0.183 0.817
Ge10 0.500 0.385 0.800
Ge11 0.500 0.614 0.200
Ge12 0.683 0.683 0.317
Ge13 0.114 0.000 0.300
Ge14 0.000 0.300 0.114
Ge15 0.300 0.115 0.000
Ge16 0.886 0.000 0.300
Ge17 0.317 0.683 0.317
Ge18 0.683 0.317 0.683
Ge19 0.386 0.800 0.500
Ge20 0.817 0.817 0.183
Ge21 0.000 0.700 0.114
Ge22 0.817 0.817 0.817
Ge23 0.614 0.800 0.500
Ge24 0.683 0.317 0.317
Ge25 0.500 0.615 0.800
Ge26 0.114 0.000 0.700
Ge27 0.317 0.317 0.317
Ge28 0.614 0.200 0.500
Ge29 0.817 0.183 0.183
Ge30 0.800 0.500 0.614
Ge31 0.317 0.683 0.683
Ge32 0.386 0.200 0.500
Ge33 0.886 0.000 0.700
Ge34 0.700 0.114 0.000
Ge35 0.200 0.500 0.386
Ge36 0.000 0.300 0.886
Ge37 0.200 0.500 0.615
Ge38 0.683 0.683 0.683
Ge39 0.183 0.817 0.817
Ge40 0.700 0.886 0.000
K1 0.500 0.000 0.750
K2 0.500 0.500 0.500
K3 0.000 0.250 0.500
K4 0.000 0.750 0.500
K5 0.250 0.500 0.000
K6 0.750 0.500 0.000
K7 0.500 0.000 0.250
K8 0.000 0.000 0.000
In1 0.000 0.500 0.250
In2 0.500 0.750 0.000
In3 0.750 0.000 0.500
In4 0.500 0.250 0.000
In5 0.000 0.500 0.750
In6 0.250 0.000 0.500